No. 1
First-principles (GGA-PBE) data for a geometry-optimized BiB12H11O3 structure, as listed in the Materials Project database. Values from VASP.

The value obtained for the MP2020-corrected energy is -5.125 eV per atom. The space group is Pnma, No. 62. The density comes out at 1.8 Mg/m³. For the energy relative to the elements, the calculation gives -2.2 eV/f.u.

```
&SYSTEM
  ibrav = 0, nat = 108, ntyp = 4
/
ATOMIC_SPECIES
O 16.00 O.upf
B 10.81 B.upf
H 1.01 H.upf
Bi 208.98 Bi.upf
CELL_PARAMETERS angstrom
9.340 0.000 0.000
0.000 10.596 0.000
0.000 0.000 14.480
ATOMIC_POSITIONS crystal
O 0.184 0.155 0.442
O 0.750 0.635 0.394
O 0.316 0.155 0.442
O 0.684 0.845 0.558
O 0.184 0.345 0.942
O 0.816 0.845 0.558
O 0.250 0.365 0.606
O 0.316 0.345 0.942
O 0.750 0.865 0.894
O 0.684 0.655 0.058
O 0.250 0.135 0.106
O 0.816 0.655 0.058
B 0.591 0.277 0.156
B 0.347 0.856 0.910
B 0.750 0.390 0.781
B 0.902 0.125 0.207
B 0.902 0.375 0.707
B 0.750 0.044 0.167
B 0.409 0.723 0.844
B 0.750 0.456 0.667
B 0.152 0.745 0.724
B 0.750 0.110 0.281
B 0.091 0.723 0.844
B 0.402 0.625 0.293
B 0.591 0.223 0.656
B 0.653 0.356 0.590
B 0.091 0.777 0.344
B 0.250 0.790 0.417
B 0.402 0.875 0.793
B 0.098 0.875 0.793
B 0.250 0.544 0.333
B 0.909 0.277 0.156
B 0.750 0.338 0.195
B 0.750 0.162 0.695
B 0.598 0.375 0.707
B 0.250 0.890 0.719
B 0.347 0.644 0.410
B 0.598 0.125 0.207
B 0.250 0.956 0.833
B 0.348 0.745 0.724
B 0.653 0.144 0.090
B 0.348 0.755 0.224
B 0.250 0.662 0.805
B 0.250 0.838 0.305
B 0.409 0.777 0.344
B 0.250 0.610 0.219
B 0.909 0.223 0.656
B 0.848 0.255 0.276
B 0.652 0.255 0.276
B 0.750 0.210 0.583
B 0.153 0.856 0.910
B 0.652 0.245 0.776
B 0.847 0.144 0.090
B 0.250 0.710 0.917
B 0.848 0.245 0.776
B 0.847 0.356 0.590
B 0.152 0.755 0.224
B 0.750 0.290 0.083
B 0.153 0.644 0.410
B 0.098 0.625 0.293
H 0.915 0.394 0.527
H 0.016 0.166 0.640
H 0.516 0.834 0.360
H 0.984 0.834 0.360
H 0.509 0.936 0.771
H 0.509 0.564 0.271
H 0.915 0.106 0.027
H 0.085 0.797 0.161
H 0.250 0.643 0.983
H 0.585 0.297 0.339
H 0.491 0.436 0.729
H 0.415 0.894 0.973
H 0.585 0.394 0.527
H 0.250 0.548 0.151
H 0.250 0.857 0.483
H 0.250 0.432 0.342
H 0.415 0.606 0.473
H 0.016 0.334 0.140
H 0.085 0.894 0.973
H 0.484 0.334 0.140
H 0.085 0.703 0.661
H 0.750 0.143 0.517
H 0.491 0.064 0.229
H 0.984 0.666 0.860
H 0.415 0.703 0.661
H 0.009 0.436 0.729
H 0.915 0.203 0.839
H 0.750 0.932 0.158
H 0.250 0.068 0.842
H 0.750 0.048 0.349
H 0.085 0.606 0.473
H 0.750 0.568 0.658
H 0.991 0.936 0.771
H 0.415 0.797 0.161
H 0.009 0.064 0.229
H 0.484 0.166 0.640
H 0.585 0.106 0.027
H 0.915 0.297 0.339
H 0.991 0.564 0.271
H 0.585 0.203 0.839
H 0.750 0.452 0.849
H 0.516 0.666 0.860
H 0.250 0.952 0.651
H 0.750 0.357 0.017
Bi 0.750 0.953 0.779
Bi 0.250 0.453 0.721
Bi 0.750 0.547 0.279
Bi 0.250 0.047 0.221
```

---

No. 2
First-principles (GGA-PBE) data for a geometry-optimized K2SO3 structure, as listed in the Materials Project database. Values from VASP.

The value obtained for the MP2020-corrected energy is -5.611 eV per atom. The space group is P-3m1, No. 164. The density comes out at 2.3 Mg/m³. For the energy relative to the elements, the calculation gives -12.5 eV/f.u.

```
&SYSTEM
  ibrav = 0, nat = 12, ntyp = 3
/
ATOMIC_SPECIES
O 16.00 O.upf
K 39.10 K.upf
S 32.06 S.upf
CELL_PARAMETERS angstrom
3.018 -5.227 0.000
3.018 5.227 0.000
0.000 0.000 7.117
ATOMIC_POSITIONS crystal
O 0.604 0.802 0.268
O 0.198 0.802 0.268
O 0.802 0.198 0.732
O 0.396 0.198 0.732
O 0.802 0.604 0.732
O 0.198 0.396 0.268
K 0.667 0.333 0.323
K 0.000 0.000 0.000
K 0.000 0.000 0.500
K 0.333 0.667 0.677
S 0.667 0.333 0.819
S 0.333 0.667 0.181
```

---

No. 3
First-principles (GGA-PBE) data for a geometry-optimized HoAl2 structure, as listed in the Materials Project database. Values from VASP.

The space group is Fd-3m, No. 227. The density comes out at 6.0 Mg/m³. For the energy relative to the elements, the calculation gives -1.5 eV/f.u.

```
&SYSTEM
  ibrav = 0, nat = 6, ntyp = 2
/
ATOMIC_SPECIES
Ho 164.93 Ho.upf
Al 26.98 Al.upf
CELL_PARAMETERS angstrom
-2.552 2.609 -4.176
-2.639 -2.929 -3.901
-5.540 0.075 -0.251
ATOMIC_POSITIONS crystal
Ho 0.000 0.000 0.000
Ho 0.750 0.750 0.750
Al 0.375 0.375 0.875
Al 0.375 0.875 0.375
Al 0.375 0.375 0.375
Al 0.875 0.375 0.375
```

---

No. 4
First-principles (GGA-PBE) data for a geometry-optimized KCu4As3O12 structure, as listed in the Materials Project database. Values from VASP.

The value obtained for the MP2020-corrected energy is -5.979 eV per atom. The space group is C2/c, No. 15. The density comes out at 4.6 Mg/m³. For the energy relative to the elements, the calculation gives -28.7 eV/f.u.

```
&SYSTEM
  ibrav = 0, nat = 40, ntyp = 4
/
ATOMIC_SPECIES
O 16.00 O.upf
As 74.92 As.upf
K 39.10 K.upf
Cu 63.55 Cu.upf
CELL_PARAMETERS angstrom
4.205 -7.037 3.314
6.550 5.304 2.674
0.050 0.381 7.540
ATOMIC_POSITIONS crystal
O 0.749 0.155 0.466
O 0.174 0.186 0.867
O 0.814 0.826 0.633
O 0.501 0.274 0.820
O 0.481 0.723 0.741
O 0.826 0.814 0.133
O 0.686 0.021 0.880
O 0.972 0.584 0.807
O 0.499 0.726 0.180
O 0.028 0.416 0.193
O 0.251 0.845 0.534
O 0.519 0.277 0.259
O 0.314 0.979 0.120
O 0.845 0.251 0.034
O 0.723 0.481 0.241
O 0.584 0.972 0.307
O 0.416 0.028 0.693
O 0.155 0.749 0.966
O 0.186 0.174 0.367
O 0.726 0.499 0.680
O 0.274 0.501 0.320
O 0.979 0.314 0.620
O 0.021 0.686 0.380
O 0.277 0.519 0.759
As 0.113 0.352 0.376
As 0.648 0.887 0.124
As 0.352 0.113 0.876
As 0.887 0.648 0.624
As 0.276 0.724 0.750
As 0.724 0.276 0.250
K 0.012 0.988 0.750
K 0.988 0.012 0.250
Cu 0.263 0.737 0.250
Cu 0.618 0.932 0.644
Cu 0.382 0.068 0.356
Cu 0.505 0.495 0.250
Cu 0.068 0.382 0.856
Cu 0.495 0.505 0.750
Cu 0.737 0.263 0.750
Cu 0.932 0.618 0.144
```

---

No. 5
First-principles (GGA-PBE) data for a geometry-optimized LiCu4P3O12 structure, as listed in the Materials Project database. Values from VASP.

The value obtained for the MP2020-corrected energy is -6.624 eV per atom. The calculation puts the energy above the most stable polymorph in this dataset at 30 meV/atom. The space group is Pm, No. 6. The density comes out at 4.3 Mg/m³. For the energy relative to the elements, the calculation gives -38.6 eV/f.u.

```
&SYSTEM
  ibrav = 0, nat = 80, ntyp = 4
/
ATOMIC_SPECIES
Li 6.94 Li.upf
O 16.00 O.upf
Cu 63.55 Cu.upf
P 30.97 P.upf
CELL_PARAMETERS angstrom
-3.309 5.094 -2.025
0.782 -2.844 -8.432
-12.685 -7.688 1.387
ATOMIC_POSITIONS crystal
Li 0.000 0.643 0.016
Li 0.500 0.339 0.321
Li 0.000 0.161 0.484
Li 0.500 0.333 0.987
O 0.200 0.382 0.602
O 0.000 0.850 0.074
O 0.000 0.372 0.085
O 0.500 0.861 0.039
O 0.500 0.358 0.137
O 0.000 0.142 0.307
O 0.798 0.379 0.275
O 0.500 0.665 0.914
O 0.000 0.837 0.744
O 0.700 0.122 0.108
O 0.198 0.885 0.559
O 0.300 0.122 0.108
O 0.702 0.118 0.441
O 0.698 0.616 0.058
O 0.500 0.352 0.466
O 0.202 0.379 0.275
O 0.802 0.885 0.559
O 0.000 0.862 0.412
O 0.801 0.879 0.222
O 0.202 0.376 0.942
O 0.299 0.121 0.773
O 0.000 0.639 0.870
O 0.302 0.616 0.058
O 0.803 0.884 0.890
O 0.298 0.118 0.441
O 0.000 0.149 0.633
O 0.500 0.660 0.250
O 0.500 0.126 0.584
O 0.197 0.884 0.890
O 0.199 0.879 0.222
O 0.699 0.619 0.395
O 0.798 0.376 0.942
O 0.500 0.858 0.707
O 0.800 0.382 0.602
O 0.000 0.638 0.190
O 0.301 0.619 0.395
O 0.500 0.663 0.580
O 0.500 0.357 0.809
O 0.500 0.862 0.371
O 0.000 0.356 0.420
O 0.000 0.142 0.974
O 0.301 0.614 0.724
O 0.500 0.140 0.254
O 0.701 0.121 0.773
O 0.500 0.131 0.917
O 0.699 0.614 0.724
O 0.000 0.378 0.747
O 0.000 0.645 0.534
Cu 0.500 0.863 0.854
Cu 0.244 0.003 0.331
Cu 0.242 0.008 0.002
Cu 0.245 0.490 0.493
Cu 0.249 0.018 0.664
Cu 0.756 0.491 0.164
Cu 0.000 0.641 0.682
Cu 0.500 0.859 0.517
Cu 0.755 0.481 0.830
Cu 0.755 0.490 0.493
Cu 0.244 0.491 0.164
Cu 0.245 0.481 0.830
Cu 0.751 0.018 0.664
Cu 0.500 0.851 0.185
Cu 0.756 0.003 0.331
Cu 0.758 0.008 0.002
P 0.000 0.812 0.847
P 0.000 0.813 0.175
P 0.500 0.685 0.682
P 0.500 0.685 0.017
P 0.500 0.178 0.486
P 0.500 0.179 0.816
P 0.000 0.327 0.648
P 0.500 0.180 0.153
P 0.000 0.317 0.987
P 0.000 0.819 0.510
P 0.500 0.684 0.354
P 0.000 0.319 0.318
```

---

No. 6
First-principles (GGA-PBE) data for a geometry-optimized KAgF3 structure, as listed in the Materials Project database. Values from VASP.

The value obtained for the MP2020-corrected energy is -4.055 eV per atom. The space group is Pm-3m, No. 221. The density comes out at 4.0 Mg/m³. For the energy relative to the elements, the calculation gives -10.6 eV/f.u.

```
&SYSTEM
  ibrav = 0, nat = 5, ntyp = 3
/
ATOMIC_SPECIES
F 19.00 F.upf
K 39.10 K.upf
Ag 107.87 Ag.upf
CELL_PARAMETERS angstrom
4.398 0.000 0.000
0.000 4.398 0.000
0.000 0.000 4.398
ATOMIC_POSITIONS crystal
F 0.000 0.500 0.000
F 0.000 0.000 0.500
F 0.500 0.000 0.000
K 0.500 0.500 0.500
Ag 0.000 0.000 0.000
```

---

No. 7
First-principles (GGA-PBE) data for a geometry-optimized Sr3Ni2N4 structure, as listed in the Materials Project database. Values from VASP.

The value obtained for the MP2020-corrected energy is -5.938 eV per atom. The calculation puts the energy above the most stable polymorph in this dataset at 0 meV/atom. The space group is Pnna, No. 52. The density comes out at 5.2 Mg/m³. For the energy relative to the elements, the calculation gives -3.5 eV/f.u.

```
&SYSTEM
  ibrav = 0, nat = 36, ntyp = 3
/
ATOMIC_SPECIES
N 14.01 N.upf
Sr 87.62 Sr.upf
Ni 58.69 Ni.upf
CELL_PARAMETERS angstrom
5.860 0.000 0.000
0.000 9.996 0.000
0.000 0.000 9.446
ATOMIC_POSITIONS crystal
N 0.495 0.593 0.172
N 0.367 0.145 0.131
N 0.005 0.407 0.172
N 0.367 0.355 0.369
N 0.495 0.907 0.328
N 0.133 0.855 0.131
N 0.867 0.355 0.631
N 0.633 0.855 0.869
N 0.633 0.645 0.631
N 0.995 0.907 0.672
N 0.995 0.593 0.828
N 0.505 0.093 0.672
N 0.133 0.645 0.369
N 0.505 0.407 0.828
N 0.005 0.093 0.328
N 0.867 0.145 0.869
Sr 0.399 0.655 0.912
Sr 0.750 0.500 0.403
Sr 0.899 0.655 0.088
Sr 0.601 0.345 0.088
Sr 0.101 0.155 0.588
Sr 0.899 0.845 0.412
Sr 0.601 0.155 0.412
Sr 0.250 0.000 0.903
Sr 0.399 0.845 0.588
Sr 0.750 0.000 0.097
Sr 0.101 0.345 0.912
Sr 0.250 0.500 0.597
Ni 0.353 0.750 0.250
Ni 0.647 0.250 0.750
Ni 0.853 0.750 0.750
Ni 0.250 0.000 0.233
Ni 0.250 0.500 0.267
Ni 0.750 0.000 0.767
Ni 0.750 0.500 0.733
Ni 0.147 0.250 0.250
```

---

No. 8
First-principles (GGA-PBE) data for a geometry-optimized HfNb structure, as listed in the Materials Project database. Values from VASP.

The space group is Cmmm, No. 65. The density comes out at 11.2 Mg/m³. For the energy relative to the elements, the calculation gives 0.2 eV/f.u.

```
&SYSTEM
  ibrav = 0, nat = 2, ntyp = 2
/
ATOMIC_SPECIES
Nb 92.91 Nb.upf
Hf 178.49 Hf.upf
CELL_PARAMETERS angstrom
0.141 2.106 -2.102
-1.706 -2.242 -0.969
-3.871 2.134 1.877
ATOMIC_POSITIONS crystal
Nb 0.500 0.500 0.500
Hf 0.000 0.000 0.000
```

---

No. 9
First-principles (GGA-PBE) data for a geometry-optimized LaEr3S6 structure, as listed in the Materials Project database. Values from VASP.

The value obtained for the MP2020-corrected energy is -6.767 eV per atom. The space group is P2_1/m, No. 11. The density comes out at 5.8 Mg/m³. For the energy relative to the elements, the calculation gives -24.2 eV/f.u.

```
&SYSTEM
  ibrav = 0, nat = 20, ntyp = 3
/
ATOMIC_SPECIES
S 32.06 S.upf
La 138.91 La.upf
Er 167.26 Er.upf
CELL_PARAMETERS angstrom
3.998 0.000 0.000
0.000 11.071 0.000
0.000 3.646 10.727
ATOMIC_POSITIONS crystal
S 0.250 0.768 0.770
S 0.250 0.699 0.251
S 0.250 0.378 0.964
S 0.750 0.418 0.408
S 0.750 0.232 0.230
S 0.250 0.106 0.558
S 0.750 0.301 0.749
S 0.750 0.622 0.036
S 0.250 0.021 0.112
S 0.750 0.979 0.888
S 0.250 0.582 0.592
S 0.750 0.894 0.442
La 0.750 0.549 0.805
La 0.250 0.451 0.195
Er 0.250 0.822 0.000
Er 0.750 0.661 0.412
Er 0.250 0.339 0.588
Er 0.250 0.057 0.334
Er 0.750 0.178 0.000
Er 0.750 0.943 0.666
```

---

No. 10
First-principles (GGA-PBE) data for a geometry-optimized La2Bi7O14 structure, as listed in the Materials Project database. Values from VASP.

The value obtained for the MP2020-corrected energy is -6.654 eV per atom. The space group is P1, No. 1. The density comes out at 7.4 Mg/m³. For the energy relative to the elements, the calculation gives -46.7 eV/f.u.

```
&SYSTEM
  ibrav = 0, nat = 23, ntyp = 3
/
ATOMIC_SPECIES
Bi 208.98 Bi.upf
O 16.00 O.upf
La 138.91 La.upf
CELL_PARAMETERS angstrom
6.940 0.000 0.000
-3.383 6.069 0.000
-1.060 -2.073 10.412
ATOMIC_POSITIONS crystal
Bi 0.924 0.566 0.692
Bi 0.453 0.128 0.302
Bi 0.224 0.246 0.689
Bi 0.773 0.751 0.303
Bi 0.546 0.873 0.692
Bi 0.074 0.434 0.296
Bi 0.324 0.655 0.978
O 0.260 0.591 0.768
O 0.176 0.909 0.695
O 0.833 0.112 0.331
O 0.716 0.728 0.097
O 0.118 0.805 0.326
O 0.335 0.022 0.097
O 0.381 0.405 0.331
O 0.737 0.408 0.231
O 0.313 0.300 0.902
O 0.043 0.353 0.092
O 0.884 0.168 0.693
O 0.953 0.619 0.902
O 0.638 0.982 0.902
O 0.633 0.616 0.690
La 0.666 0.335 0.005
La 0.995 0.993 0.985
```

---

No. 11
First-principles (GGA-PBE) data for a geometry-optimized SrCeMg6 structure, as listed in the Materials Project database. Values from VASP.

The calculation puts the energy above the most stable polymorph in this dataset at 5 meV/atom. The space group is Amm2, No. 38. The density comes out at 3.0 Mg/m³. For the energy relative to the elements, the calculation gives 1.0 eV/f.u.

```
&SYSTEM
  ibrav = 0, nat = 8, ntyp = 3
/
ATOMIC_SPECIES
Mg 24.30 Mg.upf
Sr 87.62 Sr.upf
Ce 140.12 Ce.upf
CELL_PARAMETERS angstrom
3.777 -5.326 0.000
3.777 5.326 0.000
0.000 0.000 5.187
ATOMIC_POSITIONS crystal
Mg 0.830 0.639 0.500
Mg 0.663 0.847 0.000
Mg 0.654 0.346 0.000
Mg 0.361 0.170 0.500
Mg 0.132 0.868 0.000
Mg 0.153 0.337 0.000
Sr 0.344 0.656 0.500
Ce 0.862 0.138 0.500
```

---

No. 12
First-principles (GGA-PBE) data for a geometry-optimized PtC4N2Cl6 structure, as listed in the Materials Project database. Values from VASP.

The value obtained for the MP2020-corrected energy is -4.949 eV per atom. The space group is Immm, No. 71. The density comes out at 2.7 Mg/m³. For the energy relative to the elements, the calculation gives 6.4 eV/f.u.

```
&SYSTEM
  ibrav = 0, nat = 13, ntyp = 4
/
ATOMIC_SPECIES
C 12.01 C.upf
N 14.01 N.upf
Cl 35.45 Cl.upf
Pt 195.08 Pt.upf
CELL_PARAMETERS angstrom
3.127 2.246 6.404
-1.036 6.987 -2.438
-5.333 -5.065 1.321
ATOMIC_POSITIONS crystal
C 0.103 0.378 0.725
C 0.897 0.622 0.275
C 0.653 0.378 0.275
C 0.347 0.622 0.725
N 0.227 0.500 0.727
N 0.773 0.500 0.273
Cl 0.724 0.000 0.724
Cl 0.836 0.592 0.756
Cl 0.276 0.000 0.276
Cl 0.164 0.408 0.244
Cl 0.164 0.920 0.756
Cl 0.836 0.080 0.244
Pt 0.000 0.000 0.000
```